# Ba3Pa | the Materials Project | PBE | optimized geometry
data_Ba3Pa
_chemical_formula_sum 'Ba6 Pa2'
_symmetry_space_group_name_H-M 'I 4/m m m'
_symmetry_Int_Tables_number 139
_symmetry_space_group_name_Hall '-I 4 2'
_cell_length_a 5.7680
_cell_length_b 5.7680
_cell_length_c 11.5717
_cell_angle_alpha 90.00
_cell_angle_beta 90.00
_cell_angle_gamma 90.00
loop_
_atom_site_label
_atom_site_fract_x
_atom_site_fract_y
_atom_site_fract_z
Ba1 0.0000 0.0000 0.0000
Ba2 0.0000 0.5000 0.2500
Pa1 0.0000 0.0000 0.5000
# E_tot = -24.57 eV for the cell shown
# V = 48.124 A^3/atom
# ΔE_f = 0.747 eV per atom